No. 1
An optimized crystal structure of KV2PO8. Source: the Materials Project, functional PBE with a Hubbard U.

CIF file:
```
data_KV2PO8
_chemical_formula_sum 'K8 V16 P8 O64'
_space_group_name_H-M_alt 'P 1'
_space_group_IT_number 1
_cell_length_a 4.830
_cell_length_b 14.007
_cell_length_c 21.575
_cell_angle_alpha 71.09
_cell_angle_beta 89.70
_cell_angle_gamma 89.11
loop_
_space_group_symop_operation_xyz
'x,y,z'
loop_
_atom_site_label
_atom_site_type_symbol
_atom_site_fract_x
_atom_site_fract_y
_atom_site_fract_z
_atom_site_occupancy
P1 P 0.819 0.828 0.621 1
O1 O 0.672 0.132 0.960 1
O2 O 0.771 0.876 0.844 1
O3 O 0.768 0.018 0.727 1
O4 O 0.334 0.373 0.757 1
P2 P 0.181 0.172 0.379 1
O5 O 0.594 0.789 0.467 1
K1 K 0.749 0.974 0.369 1
V1 V 0.671 0.130 0.742 1
O6 O 0.328 0.868 0.040 1
P3 P 0.187 0.553 0.119 1
O7 O 0.883 0.371 0.557 1
O8 O 0.817 0.077 0.539 1
V2 V 0.797 0.157 0.023 1
O9 O 0.344 0.630 0.743 1
O10 O 0.590 0.254 0.034 1
V3 V 0.698 0.656 0.018 1
V4 V 0.306 0.827 0.520 1
O11 O 0.384 0.348 0.596 1
O12 O 0.117 0.629 0.443 1
O13 O 0.323 0.406 0.458 1
K2 K 0.809 0.470 0.374 1
O14 O 0.889 0.932 0.941 1
O15 O 0.784 0.714 0.659 1
O16 O 0.216 0.286 0.341 1
O17 O 0.610 0.054 0.097 1
V5 V 0.682 0.627 0.745 1
K3 K 0.810 0.842 0.127 1
V6 V 0.694 0.173 0.480 1
O18 O 0.342 0.872 0.760 1
O19 O 0.376 0.139 0.439 1
O20 O 0.616 0.652 0.404 1
P4 P 0.697 0.953 0.881 1
K4 K 0.745 0.346 0.128 1
O21 O 0.775 0.743 0.775 1
O22 O 0.380 0.579 0.059 1
O23 O 0.777 0.516 0.728 1
O24 O 0.677 0.594 0.542 1
O25 O 0.753 0.895 0.664 1
O26 O 0.624 0.861 0.561 1
O27 O 0.118 0.442 0.904 1
O28 O 0.095 0.724 0.525 1
V7 V 0.680 0.871 0.758 1
O29 O 0.666 0.627 0.243 1
O30 O 0.122 0.849 0.597 1
O31 O 0.232 0.982 0.273 1
O32 O 0.223 0.484 0.272 1
O33 O 0.231 0.628 0.157 1
O34 O 0.247 0.105 0.336 1
O35 O 0.762 0.220 0.655 1
O36 O 0.909 0.754 0.024 1
O37 O 0.770 0.245 0.771 1
P5 P 0.309 0.668 0.382 1
O38 O 0.658 0.128 0.240 1
O39 O 0.656 0.370 0.257 1
O40 O 0.091 0.246 0.976 1
V8 V 0.328 0.627 0.245 1
P6 P 0.691 0.332 0.618 1
K5 K 0.251 0.026 0.631 1
V9 V 0.318 0.373 0.255 1
V10 V 0.672 0.373 0.755 1
O41 O 0.230 0.755 0.229 1
O42 O 0.238 0.780 0.345 1
O43 O 0.620 0.421 0.941 1
O44 O 0.667 0.868 0.260 1
O45 O 0.741 0.399 0.662 1
K6 K 0.255 0.654 0.872 1
O46 O 0.249 0.443 0.162 1
O47 O 0.333 0.132 0.740 1
O48 O 0.183 0.923 0.461 1
O49 O 0.255 0.937 0.164 1
O50 O 0.769 0.372 0.843 1
K7 K 0.190 0.158 0.873 1
O51 O 0.751 0.557 0.838 1
P7 P 0.303 0.047 0.119 1
K8 K 0.191 0.530 0.626 1
O52 O 0.406 0.211 0.533 1
P8 P 0.813 0.447 0.881 1
O53 O 0.225 0.257 0.225 1
V11 V 0.302 0.344 0.982 1
V12 V 0.320 0.129 0.242 1
O54 O 0.111 0.068 0.059 1
V13 V 0.329 0.870 0.258 1
O55 O 0.882 0.558 0.096 1
V14 V 0.199 0.319 0.521 1
O56 O 0.410 0.746 0.966 1
V15 V 0.801 0.681 0.479 1
O57 O 0.259 0.601 0.338 1
O58 O 0.822 0.619 0.960 1
V16 V 0.203 0.843 0.977 1
O59 O 0.229 0.124 0.156 1
O60 O 0.878 0.151 0.403 1
O61 O 0.745 0.063 0.836 1
O62 O 0.178 0.381 0.040 1
O63 O 0.905 0.276 0.475 1
O64 O 0.390 0.946 0.903 1
```

## Properties
calculated density	2886	kg/m3
DFT total energy	-7.1092	eV per atom
symmetry	P-1
formation energy from the elements	-2.49	eV per atom
crystal system	triclinic

No. 2
An optimized crystal structure of K2VPO6. Source: the Materials Project, functional PBE with a Hubbard U.

CIF file:
```
data_K2VPO6
_chemical_formula_sum 'K8 V4 P4 O24'
_space_group_name_H-M_alt 'P 1'
_space_group_IT_number 1
_cell_length_a 13.630
_cell_length_b 7.017
_cell_length_c 8.310
_cell_angle_alpha 59.59
_cell_angle_beta 90.00
_cell_angle_gamma 90.00
loop_
_space_group_symop_operation_xyz
'x,y,z'
loop_
_atom_site_label
_atom_site_type_symbol
_atom_site_fract_x
_atom_site_fract_y
_atom_site_fract_z
_atom_site_occupancy
O1 O 0.970 0.905 0.268 1
O2 O 0.326 0.266 0.016 1
K1 K 0.418 0.717 0.585 1
O3 O 0.894 0.545 0.308 1
O4 O 0.263 0.661 0.293 1
O5 O 0.127 0.350 0.075 1
P1 P 0.622 0.772 0.802 1
V1 V 0.799 0.604 0.100 1
P2 P 0.878 0.772 0.302 1
O6 O 0.737 0.339 0.707 1
K2 K 0.867 0.088 0.552 1
K3 K 0.367 0.912 0.948 1
O7 O 0.106 0.455 0.692 1
O8 O 0.606 0.545 0.808 1
K4 K 0.082 0.717 0.085 1
O9 O 0.674 0.734 0.984 1
V2 V 0.299 0.396 0.400 1
O10 O 0.804 0.877 0.134 1
O11 O 0.237 0.661 0.793 1
P3 P 0.122 0.228 0.698 1
O12 O 0.763 0.339 0.207 1
K5 K 0.582 0.283 0.415 1
P4 P 0.378 0.228 0.198 1
O13 O 0.304 0.123 0.366 1
O14 O 0.394 0.455 0.192 1
K6 K 0.633 0.088 0.052 1
K7 K 0.133 0.912 0.448 1
O15 O 0.030 0.095 0.732 1
O16 O 0.470 0.095 0.232 1
O17 O 0.826 0.734 0.484 1
K8 K 0.918 0.283 0.915 1
O18 O 0.196 0.123 0.866 1
O19 O 0.530 0.905 0.768 1
V3 V 0.201 0.396 0.900 1
O20 O 0.373 0.350 0.575 1
O21 O 0.696 0.877 0.634 1
O22 O 0.627 0.650 0.425 1
V4 V 0.701 0.604 0.600 1
O23 O 0.873 0.650 0.925 1
O24 O 0.174 0.266 0.516 1
```

## Properties
calculated density	2482	kg/m3
DFT total energy	-6.6346	eV per atom
symmetry	P2_1/c
formation energy from the elements	-2.58	eV per atom
crystal system	monoclinic

No. 3
An optimized crystal structure of KP2WO8. Source: the Materials Project, functional PBE with a Hubbard U.

CIF file:
```
data_KP2WO8
_chemical_formula_sum 'K4 P8 W4 O32'
_space_group_name_H-M_alt 'P 1'
_space_group_IT_number 1
_cell_length_a 5.170
_cell_length_b 11.796
_cell_length_c 12.033
_cell_angle_alpha 90.00
_cell_angle_beta 90.00
_cell_angle_gamma 91.25
loop_
_space_group_symop_operation_xyz
'x,y,z'
loop_
_atom_site_label
_atom_site_type_symbol
_atom_site_fract_x
_atom_site_fract_y
_atom_site_fract_z
_atom_site_occupancy
O1 O 0.224 0.587 0.089 1
P1 P 0.757 0.367 0.434 1
O2 O 0.571 0.323 0.524 1
O3 O 0.276 0.913 0.589 1
O4 O 0.193 0.187 0.628 1
W1 W 0.242 0.334 0.618 1
O5 O 0.302 0.515 0.609 1
K1 K 0.735 0.050 0.627 1
W2 W 0.258 0.166 0.118 1
O6 O 0.929 0.177 0.024 1
O7 O 0.307 0.313 0.128 1
O8 O 0.461 0.144 0.972 1
P2 P 0.264 0.652 0.194 1
O9 O 0.429 0.677 0.476 1
O10 O 0.198 0.985 0.109 1
W3 W 0.742 0.834 0.882 1
O11 O 0.777 0.211 0.826 1
O12 O 0.430 0.878 0.787 1
O13 O 0.539 0.856 0.028 1
O14 O 0.544 0.644 0.238 1
O15 O 0.070 0.622 0.287 1
P3 P 0.736 0.348 0.806 1
P4 P 0.236 0.848 0.694 1
O16 O 0.277 0.711 0.674 1
K2 K 0.265 0.950 0.373 1
P5 P 0.257 0.867 0.066 1
O17 O 0.698 0.485 0.391 1
W4 W 0.758 0.666 0.382 1
O18 O 0.956 0.856 0.738 1
K3 K 0.765 0.450 0.127 1
P6 P 0.743 0.133 0.934 1
O19 O 0.456 0.356 0.762 1
O20 O 0.570 0.122 0.213 1
O21 O 0.044 0.144 0.262 1
O22 O 0.802 0.015 0.891 1
O23 O 0.693 0.687 0.872 1
P7 P 0.764 0.152 0.306 1
O24 O 0.807 0.813 0.372 1
K4 K 0.235 0.550 0.873 1
O25 O 0.071 0.823 0.976 1
O26 O 0.039 0.356 0.472 1
O27 O 0.776 0.413 0.911 1
O28 O 0.723 0.289 0.326 1
O29 O 0.223 0.789 0.174 1
O30 O 0.961 0.644 0.528 1
P8 P 0.243 0.633 0.566 1
O31 O 0.930 0.378 0.713 1
O32 O 0.724 0.087 0.411 1
```

## Properties
calculated density	3738	kg/m3
DFT total energy	-7.1030	eV per atom
symmetry	P2_1/c
formation energy from the elements	-2.56	eV per atom
crystal system	monoclinic

No. 4
An optimized crystal structure of KVPbO4. Source: the Materials Project, functional PBE with a Hubbard U.

CIF file:
```
data_KVPbO4
_chemical_formula_sum 'K4 V4 Pb4 O16'
_space_group_name_H-M_alt 'P 1'
_space_group_IT_number 1
_cell_length_a 5.897
_cell_length_b 7.851
_cell_length_c 10.333
_cell_angle_alpha 90.00
_cell_angle_beta 90.00
_cell_angle_gamma 90.00
loop_
_space_group_symop_operation_xyz
'x,y,z'
loop_
_atom_site_label
_atom_site_type_symbol
_atom_site_fract_x
_atom_site_fract_y
_atom_site_fract_z
_atom_site_occupancy
O1 O 0.493 0.836 0.854 1
O2 O 0.750 0.720 0.590 1
V1 V 0.750 0.257 0.079 1
O3 O 0.007 0.836 0.854 1
O4 O 0.993 0.164 0.146 1
K1 K 0.250 0.679 0.589 1
K2 K 0.750 0.821 0.089 1
O5 O 0.507 0.664 0.354 1
O6 O 0.993 0.664 0.354 1
O7 O 0.250 0.029 0.607 1
K3 K 0.250 0.179 0.911 1
Pb1 Pb 0.250 0.022 0.283 1
O8 O 0.507 0.164 0.146 1
O9 O 0.750 0.971 0.393 1
K4 K 0.750 0.321 0.411 1
O10 O 0.250 0.780 0.090 1
O11 O 0.007 0.336 0.646 1
Pb2 Pb 0.750 0.478 0.783 1
Pb3 Pb 0.750 0.978 0.717 1
O12 O 0.493 0.336 0.646 1
O13 O 0.250 0.280 0.410 1
V2 V 0.250 0.243 0.579 1
V3 V 0.750 0.757 0.421 1
O14 O 0.250 0.529 0.893 1
Pb4 Pb 0.250 0.522 0.217 1
V4 V 0.250 0.743 0.921 1
O15 O 0.750 0.220 0.910 1
O16 O 0.750 0.471 0.107 1
```

## Properties
calculated density	5016	kg/m3
DFT total energy	-6.3704	eV per atom
symmetry	Pnma
formation energy from the elements	-2.19	eV per atom
crystal system	orthorhombic